[1]
VASP calculation (meta-GGA r2SCAN) on a relaxed Ba3CrO5 crystal.

```
Ba3CrO5
1.0
-1.8225 6.2169 -3.4363
0.0051 0.0067 7.8352
6.4785 0.0007 -3.4363
Ba O Cr
6 10 2
Direct
0.6790 0.0000 0.8210
0.2500 0.5000 0.2500
0.8210 0.0000 0.3210
0.7500 0.5000 0.7500
0.3210 0.0000 0.1790
0.1790 0.0000 0.6790
0.0000 0.0000 0.0000
0.7069 0.6844 0.4775
0.5000 0.0000 0.5000
0.2068 0.6843 0.7068
0.5226 0.3157 0.0226
0.4774 0.6843 0.9774
0.7931 0.3157 0.2931
0.2931 0.3157 0.5226
0.9775 0.6844 0.2069
0.0226 0.3157 0.7931
0.7500 0.5000 0.2500
0.2500 0.5000 0.7500
```

## Properties
calculated volume	17.55	Å³ per atom
space group	I4/mcm, No. 140
size of the total moment	0.00	μB/f.u.
final energy	-297.984	eV per cell


[2]
VASP calculation (meta-GGA r2SCAN) on a relaxed Ac2GePd crystal.

```
Ac2GePd
1.0
-0.0020 3.8524 3.8567
3.8627 -0.0010 3.8562
3.8629 3.8521 -0.0012
Pd Ge Ac
1 1 2
Direct
0.7500 0.7499 0.7501
0.2500 0.2499 0.2501
0.0000 0.0001 0.9999
0.5000 0.5001 0.5000
```

## Properties
calculated volume	28.71	Å³ per atom
space group	Fmmm, No. 69
size of the total moment	0.00	μB/f.u.
final energy	-177.009	eV per cell


[3]
VASP calculation (meta-GGA r2SCAN) on a relaxed KGaP2O7 crystal.

```
KGaP2O7
1.0
-7.8240 5.6607 -1.9862
-2.6758 -5.2348 -4.3787
-4.6722 -4.8250 4.6534
O P K Ga
28 8 4 4
Direct
0.5924 0.1418 0.4846
0.9947 0.0062 0.7209
0.3953 0.6792 0.0124
0.6047 0.3208 0.9876
0.0924 0.8582 0.0154
0.9425 0.3370 0.1859
0.1047 0.6792 0.5124
0.2632 0.9194 0.2526
0.0777 0.3594 0.7366
0.5575 0.3370 0.6859
0.4076 0.8582 0.5154
0.4223 0.3594 0.2366
0.5777 0.6406 0.7634
0.4425 0.6630 0.3141
0.0575 0.6630 0.8141
0.7632 0.0806 0.2474
0.2846 0.5477 0.7435
0.2154 0.5477 0.2435
0.2368 0.9194 0.7526
0.8953 0.3208 0.4876
0.7846 0.4523 0.7565
0.9223 0.6406 0.2634
0.9076 0.1418 0.9846
0.4947 0.9938 0.7791
0.7154 0.4523 0.2565
0.5053 0.0062 0.2209
0.7368 0.0806 0.7474
0.0053 0.9938 0.2791
0.0968 0.8698 0.8309
0.1355 0.5594 0.6920
0.5968 0.1302 0.6691
0.8645 0.4406 0.3080
0.4032 0.8698 0.3309
0.3645 0.5594 0.1920
0.9032 0.1302 0.1691
0.6355 0.4406 0.8080
0.6785 0.8236 0.0559
0.8215 0.8236 0.5559
0.1785 0.1764 0.4441
0.3215 0.1764 0.9441
0.9004 0.2367 0.7395
0.5996 0.2367 0.2395
0.4004 0.7633 0.7605
0.0996 0.7633 0.2605
```

## Properties
calculated volume	12.84	Å³ per atom
space group	P2_1/c, No. 14
size of the total moment	0.00	μB/f.u.
final energy	-416.301	eV per cell


[4]
VASP calculation (meta-GGA r2SCAN) on a relaxed Sn2BF7 crystal.

```
Sn2BF7
1.0
-2.0345 1.2640 4.7454
-4.4917 -7.3261 0.0256
10.4869 -6.4080 6.2028
B Sn F
4 8 28
Direct
0.7500 0.3000 0.8747
0.7500 0.8000 0.6253
0.2500 0.2000 0.3747
0.2500 0.7000 0.1253
0.7500 0.2175 0.5561
0.2500 0.0229 0.8068
0.7500 0.4771 0.3068
0.7500 0.7175 0.9439
0.2500 0.5229 0.6932
0.7500 0.9771 0.1932
0.2500 0.2825 0.0561
0.2500 0.7825 0.4439
0.5319 0.8830 0.6503
0.5004 0.6515 0.3571
0.4996 0.8485 0.8571
0.4681 0.6170 0.1503
0.9681 0.8830 0.6503
0.0004 0.8485 0.8571
0.5004 0.1515 0.1429
0.7500 0.2765 0.9764
0.4996 0.3485 0.6429
0.9996 0.1515 0.1429
0.5319 0.3830 0.8497
0.7500 0.7765 0.5236
0.2500 0.3455 0.3272
0.2500 0.0967 0.9567
0.2500 0.2235 0.4764
0.7500 0.4033 0.4567
0.0004 0.3485 0.6429
0.7500 0.6545 0.6728
0.0319 0.6170 0.1503
0.7500 0.9033 0.0433
0.0319 0.1170 0.3497
0.2500 0.8455 0.1728
0.4681 0.1170 0.3497
0.9996 0.6515 0.3571
0.2500 0.7235 0.0236
0.7500 0.1545 0.8272
0.2500 0.5967 0.5433
0.9681 0.3830 0.8497
```

## Properties
calculated volume	15.72	Å³ per atom
space group	Pnma, No. 62
size of the total moment	0.00	μB/f.u.
final energy	-421.483	eV per cell


[5]
VASP calculation (meta-GGA r2SCAN) on a relaxed Na3As crystal.

```
Na3As
1.0
8.7230 -0.0005 0.0000
-4.3619 7.5541 0.0000
0.0000 0.0000 8.9377
As Na
6 18
Direct
0.6693 0.0000 0.7508
0.3307 0.3307 0.7508
0.0000 0.3307 0.2508
0.0000 0.6693 0.7508
0.6693 0.6693 0.2508
0.3307 0.0000 0.2508
0.3334 0.6667 0.2284
0.0000 0.0000 0.7923
0.3612 0.3612 0.4193
0.3010 0.0000 0.5818
0.6667 0.3334 0.2284
0.0000 0.3613 0.9193
0.3333 0.6666 0.7284
0.0000 0.6990 0.0818
0.3613 0.0000 0.9193
0.6388 0.6388 0.9193
0.0000 0.3010 0.5818
0.0000 0.0000 0.2923
0.0000 0.6387 0.4193
0.6991 0.6991 0.5818
0.6666 0.3333 0.7284
0.6990 0.0000 0.0818
0.6387 0.0000 0.4193
0.3009 0.3009 0.0819
```

## Properties
calculated volume	24.54	Å³ per atom
space group	P6_3cm, No. 185
size of the total moment	0.00	μB/f.u.
final energy	-165.672	eV per cell


[6]
VASP calculation (meta-GGA r2SCAN) on a relaxed Ta2Te5Pd3 crystal.

```
Ta2Te5Pd3
1.0
3.7616 0.0000 0.0000
0.0000 14.7220 0.0000
0.0000 0.0000 18.7196
Pd Ta Te
12 8 20
Direct
0.2500 0.8068 0.2269
0.7500 0.1932 0.7731
0.2500 0.7704 0.4582
0.2500 0.2704 0.0418
0.2500 0.3068 0.2731
0.2500 0.8149 0.6894
0.7500 0.7296 0.9582
0.7500 0.6932 0.7269
0.7500 0.1851 0.3106
0.2500 0.3149 0.8106
0.7500 0.6851 0.1894
0.7500 0.2296 0.5418
0.7500 0.7457 0.3321
0.2500 0.2543 0.6679
0.2500 0.7543 0.8321
0.7500 0.2457 0.1679
0.2500 0.7503 0.0843
0.7500 0.2497 0.9157
0.2500 0.2503 0.4157
0.7500 0.7497 0.5843
0.2500 0.8924 0.5608
0.7500 0.3858 0.7203
0.2500 0.8567 0.9592
0.7500 0.6110 0.8533
0.7500 0.1076 0.4392
0.7500 0.6433 0.4592
0.7500 0.3807 0.3616
0.2500 0.8890 0.3533
0.2500 0.1193 0.8616
0.2500 0.6193 0.6384
0.7500 0.8807 0.1384
0.7500 0.6076 0.0608
0.2500 0.3890 0.1467
0.2500 0.1142 0.2203
0.2500 0.3567 0.5408
0.7500 0.1433 0.0408
0.7500 0.1110 0.6467
0.2500 0.3924 0.9392
0.7500 0.8858 0.7797
0.2500 0.6142 0.2797
```

## Properties
calculated volume	25.92	Å³ per atom
space group	Pnma, No. 62
size of the total moment	0.00	μB/f.u.
final energy	-1191.049	eV per cell


[7]
VASP calculation (meta-GGA r2SCAN) on a relaxed Rb2CrCl4 crystal.

```
Rb2CrCl4
1.0
4.7278 -0.0830 -1.7148
-0.5359 4.6981 -1.7150
0.5403 0.5948 8.6693
Cl Cr Rb
4 1 2
Direct
0.1494 0.1495 0.3065
0.0000 0.5000 0.0000
0.5000 0.0000 0.0000
0.8506 0.8505 0.6935
0.0000 0.0000 0.0000
0.3639 0.3639 0.7194
0.6361 0.6361 0.2806
```

## Properties
calculated volume	28.85	Å³ per atom
space group	C2/m, No. 12
size of the total moment	4.00	μB/f.u.
final energy	-80.459	eV per cell


[8]
VASP calculation (meta-GGA r2SCAN) on a relaxed GdCu2 crystal.

```
GdCu2
1.0
2.9554 -1.8639 2.5122
3.3391 3.5711 2.4073
-1.5420 -0.3878 5.2123
Cu Gd
4 2
Direct
0.1650 0.8890 0.7810
0.1650 0.2810 0.3890
0.8350 0.7190 0.6110
0.8350 0.1110 0.2190
0.4566 0.2934 0.7934
0.5434 0.7066 0.2066
```

## Properties
calculated volume	17.95	Å³ per atom
space group	Imma, No. 74
size of the total moment	7.40	μB/f.u.
final energy	-131.386	eV per cell


[9]
VASP calculation (meta-GGA r2SCAN) on a relaxed NbSi2 crystal.

```
NbSi2
1.0
-4.2077 2.2496 -0.5760
0.9948 -3.9327 -2.5768
-2.6553 -3.7599 4.7134
Si Nb
6 3
Direct
0.6838 0.8419 0.3333
0.3162 0.1581 0.3333
0.1581 0.3162 0.0000
0.8419 0.6838 0.0000
0.1581 0.8419 0.6667
0.8419 0.1581 0.6667
0.5000 0.5000 0.6668
0.5000 0.0000 0.0000
0.0000 0.5000 0.3332
```

## Properties
calculated volume	14.64	Å³ per atom
space group	P6_422, No. 181
size of the total moment	0.00	μB/f.u.
final energy	-131.513	eV per cell


[10]
VASP calculation (meta-GGA r2SCAN) on a relaxed LiDy2Ru crystal.

```
LiDy2Ru
1.0
3.0783 -3.3818 1.7131
1.0127 -0.1859 4.7736
-1.6915 -3.6914 2.7129
Dy Li Ru
2 1 1
Direct
0.7500 0.7500 0.7500
0.2500 0.2500 0.2500
0.5000 0.5000 0.5000
0.0000 0.0000 0.0000
```

## Properties
calculated volume	20.59	Å³ per atom
space group	Fm-3m, No. 225
size of the total moment	0.00	μB/f.u.
final energy	-92.955	eV per cell


[11]
VASP calculation (meta-GGA r2SCAN) on a relaxed CaTmHg2 crystal.

```
CaTmHg2
1.0
0.0000 3.6818 3.6818
3.6818 0.0000 3.6818
3.6818 3.6818 0.0000
Tm Hg Ca
1 2 1
Direct
0.5000 0.5000 0.5000
0.7500 0.7500 0.7500
0.2500 0.2500 0.2500
0.0000 0.0000 0.0000
```

## Properties
calculated volume	24.96	Å³ per atom
space group	Fm-3m, No. 225
size of the total moment	0.00	μB/f.u.
final energy	-143.217	eV per cell


[12]
VASP calculation (meta-GGA r2SCAN) on a relaxed Zr3Sn crystal.

```
Zr3Sn
1.0
-2.5962 3.8255 -2.2490
-3.2990 0.4874 4.6372
3.9218 4.0515 2.3643
Zr Sn
6 2
Direct
0.0000 0.6480 0.2507
0.0000 0.1343 0.5000
0.0000 0.6480 0.7493
0.5000 0.3520 0.7507
0.5000 0.8657 0.0000
0.5000 0.3520 0.2493
0.5000 0.8353 0.5000
0.0000 0.1647 0.0000
```

## Properties
calculated volume	22.44	Å³ per atom
space group	Pmmn, No. 59
size of the total moment	0.00	μB/f.u.
final energy	-189.068	eV per cell